(1)
A relaxed structure of Pu3Pd5. Source: the Materials Project, functional GGA-PBE.

Cell and atoms, written as extended XYZ:
```
16
Lattice="4.6155 -3.6198 0.0000 4.6155 3.6198 0.0000 0.0000 0.0000 9.8100" Properties=species:S:1:pos:R:3 pbc="T T T"
Pu 4.6155 2.6974 7.3575
Pu 2.7428 0.0000 0.0000
Pu 2.7428 0.0000 4.9050
Pu 6.4882 0.0000 0.0000
Pu 6.4882 0.0000 4.9050
Pu 4.6155 -2.6974 2.4525
Pd 2.0525 1.5264 7.3575
Pd 4.6155 2.2793 0.4792
Pd 4.6155 2.2793 4.4258
Pd 2.0525 -1.5264 2.4525
Pd 4.6155 0.1822 2.4525
Pd 4.6155 -0.1822 7.3575
Pd 7.1785 1.5264 7.3575
Pd 4.6155 -2.2793 5.3842
Pd 4.6155 -2.2793 9.3308
Pd 7.1785 -1.5264 2.4525
```

Computed properties:
energy of formation from the pure elements: 17.35 kJ per mole of atoms
final energy: -8.408 eV per atom


(2)
A relaxed structure of Dy2N3. Source: the Materials Project, functional GGA-PBE.

Cell and atoms, written as extended XYZ:
```
40
Lattice="-5.4836 5.4836 5.4836 5.4836 -5.4836 5.4836 5.4836 5.4836 -5.4836" Properties=species:S:1:pos:R:3 pbc="T T T"
Dy 0.0000 0.0000 0.0000
Dy 5.4836 0.0000 0.0000
Dy 5.4836 -2.7418 3.0739
Dy 8.2254 2.4097 0.0000
Dy 3.0739 5.4836 -2.7418
Dy 3.0739 0.0000 2.7418
Dy 2.7418 3.0739 0.0000
Dy 5.4836 2.7418 2.4097
Dy 0.0000 5.4836 0.0000
Dy 0.0000 0.0000 5.4836
Dy 0.0000 2.7418 3.0739
Dy 2.7418 2.4097 5.4836
Dy 2.4097 5.4836 2.7418
Dy 2.4097 0.0000 8.2254
Dy -2.7418 3.0739 5.4836
Dy 0.0000 8.2254 2.4097
N 6.5956 1.5214 -1.4121
N 1.5214 1.4121 -1.1120
N 1.4121 -1.1120 1.5214
N 3.9622 1.4121 1.1120
N 4.3716 3.9622 -1.4121
N 6.8957 1.1120 1.5214
N 6.8957 -1.1120 3.9622
N -1.1120 1.5214 1.4121
N 3.9622 -1.4121 4.3716
N 1.4121 1.1120 3.9622
N 1.5214 -1.4121 6.5956
N 1.1120 3.9622 1.4121
N 4.3716 1.5214 4.0715
N 3.9622 6.8957 -1.1120
N 4.0715 4.3716 1.5214
N 1.5214 6.8957 1.1120
N 6.5956 3.9622 4.0715
N -1.4121 6.5956 1.5214
N -1.4121 4.3716 3.9622
N 1.1120 1.5214 6.8957
N 1.5214 4.0715 4.3716
N 4.0715 6.5956 3.9622
N 3.9622 4.0715 6.5956
N -1.1120 3.9622 6.8957
```

Computed properties:
total energy after the MP2020 corrections: -7.549 eV/atom
energy of formation from the pure elements: -67.98 kJ per mole of atoms
final energy: -7.333 eV per atom


(3)
A relaxed structure of TmMg. Source: the Materials Project, functional GGA-PBE.

Cell and atoms, written as extended XYZ:
```
2
Lattice="3.7506 0.0000 0.0000 0.0000 3.7506 0.0000 0.0000 0.0000 3.7506" Properties=species:S:1:pos:R:3 pbc="T T T"
Tm 0.0000 0.0000 0.0000
Mg 1.8753 1.8753 1.8753
```

Computed properties:
energy of formation from the pure elements: -5.63 kJ per mole of atoms
final energy: -3.096 eV per atom


(4)
A relaxed structure of Lu6Mn23. Source: the Materials Project, functional GGA-PBE.

Cell and atoms, written as extended XYZ:
```
29
Lattice="0.0000 5.9237 5.9237 5.9237 0.0000 5.9237 5.9237 5.9237 0.0000" Properties=species:S:1:pos:R:3 pbc="T T T"
Lu 5.9237 5.9237 2.4131
Lu 5.9237 2.4131 5.9237
Lu 9.4342 5.9237 5.9237
Lu 2.4131 5.9237 5.9237
Lu 5.9237 9.4342 5.9237
Lu 5.9237 5.9237 9.4342
Mn 2.9618 2.9618 0.0000
Mn 2.9618 0.0000 2.9618
Mn 5.9237 2.9618 2.9618
Mn 7.3624 4.4849 4.4849
Mn 2.0912 2.0912 2.0912
Mn 3.8325 3.8325 2.0912
Mn 3.8325 2.0912 3.8325
Mn 4.4849 4.4849 4.4849
Mn 7.3624 7.3624 4.4849
Mn 7.3624 4.4849 7.3624
Mn 2.0912 3.8325 3.8325
Mn 0.0000 2.9618 2.9618
Mn 2.9618 5.9237 2.9618
Mn 2.9618 2.9618 5.9237
Mn 5.9237 5.9237 5.9237
Mn 9.7561 8.0148 8.0148
Mn 4.4849 7.3624 4.4849
Mn 4.4849 4.4849 7.3624
Mn 7.3624 7.3624 7.3624
Mn 8.0148 9.7561 8.0148
Mn 8.0148 8.0148 9.7561
Mn 9.7561 9.7561 9.7561
Mn 4.4849 7.3624 7.3624
```

Computed properties:
energy of formation from the pure elements: -4.08 kJ per mole of atoms
final energy: -8.244 eV per atom


(5)
A relaxed structure of UNi2B2C. Source: the Materials Project, functional GGA-PBE.

Cell and atoms, written as extended XYZ:
```
6
Lattice="-1.7425 1.7425 5.2784 1.7425 -1.7425 5.2784 1.7425 1.7425 -5.2784" Properties=species:S:1:pos:R:3 pbc="T T T"
U 0.0000 0.0000 0.0000
Ni 1.7425 0.0000 2.6392
Ni 0.0000 1.7425 2.6392
B 0.0000 0.0000 3.7693
B 0.0000 0.0000 6.7874
C 0.0000 0.0000 5.2784
```

Computed properties:
energy of formation from the pure elements: -36.64 kJ per mole of atoms
final energy: -7.953 eV per atom


(6)
A relaxed structure of Li14Ti21O48. Source: the Materials Project, functional GGA-PBE.

Cell and atoms, written as extended XYZ:
```
83
Lattice="5.1744 -2.9883 0.0000 5.1744 2.9883 0.0000 -0.0343 0.0000 29.2367" Properties=species:S:1:pos:R:3 pbc="T T T"
Li 0.0000 0.0000 0.0000
Li -0.0003 0.0000 3.5860
Li -0.0075 0.0000 9.1106
Li 0.0110 0.0000 18.2765
Li 3.4079 0.0000 19.4889
Li 3.4073 0.0000 28.5746
Li 3.4448 0.0000 4.8720
Li 3.4445 0.0000 8.4717
Li 3.4494 0.0000 23.0846
Li 6.8351 0.0000 24.2987
Li 6.8861 0.0000 9.7551
Li 6.8916 0.0000 13.3403
Li 6.8850 0.0000 27.9225
Li 8.6033 0.0000 21.2893
Ti 2.5567 1.4818 16.3784
Ti 2.6059 1.4625 1.7314
Ti 4.3205 1.5338 11.4798
Ti 1.6723 0.0000 11.4845
Ti 1.7177 0.0000 26.1706
Ti 4.2771 1.4639 26.2345
Ti 6.0135 1.5253 6.7268
Ti 6.0106 1.4977 21.2983
Ti 3.4604 0.0000 13.9615
Ti 2.5567 -1.4818 16.3784
Ti 2.6059 -1.4625 1.7314
Ti 5.1385 0.0000 1.7301
Ti 5.1572 0.0000 16.4257
Ti 4.2771 -1.4639 26.2345
Ti 6.8968 0.0000 4.2280
Ti 4.3205 -1.5338 11.4798
Ti 7.0022 0.0000 18.9645
Ti 6.0106 -1.4977 21.2983
Ti 6.0135 -1.5253 6.7268
Ti 8.6543 0.0000 6.7274
Ti 10.1919 0.0000 23.6514
O -0.0043 0.0000 5.6285
O -0.0126 0.0000 12.5126
O 10.3125 0.0000 27.2318
O 0.1024 0.0000 20.2783
O 2.6299 1.3853 27.1933
O 2.6776 1.3195 12.6890
O 1.5349 0.0000 22.4691
O 1.5943 0.0000 7.7087
O 4.3697 1.6030 7.7100
O 4.4666 1.6114 22.5279
O 1.8489 0.0000 0.7481
O 4.2496 1.3863 0.7472
O 1.9215 0.0000 15.2686
O 4.1796 1.3012 15.2699
O 5.9058 1.6743 25.0496
O 5.9667 1.5956 10.4877
O 3.4266 0.0000 17.4496
O 3.4490 0.0000 2.8283
O 3.4393 0.0000 10.4811
O 3.4323 0.0000 25.1311
O 6.1103 1.3347 17.5197
O 6.1354 1.3214 2.9536
O 2.6776 -1.3195 12.6890
O 4.9655 0.0000 12.6921
O 5.0230 0.0000 27.2110
O 2.6299 -1.3853 27.1933
O 7.5717 1.3757 20.0498
O 5.3283 0.0000 20.0961
O 5.3691 0.0000 5.5030
O 7.6581 1.3215 5.5038
O 4.1796 -1.3012 15.2699
O 4.2496 -1.3863 0.7472
O 6.7544 0.0000 22.2948
O 6.9001 0.0000 0.7371
O 6.8930 0.0000 7.7168
O 6.8869 0.0000 15.3648
O 4.3697 -1.6030 7.7100
O 4.4666 -1.6114 22.5279
O 6.1354 -1.3214 2.9536
O 8.4242 0.0000 2.9545
O 6.1103 -1.3347 17.5197
O 8.4303 0.0000 17.5553
O 5.9667 -1.5956 10.4877
O 8.7291 0.0000 10.4852
O 8.7781 0.0000 25.0111
O 5.9058 -1.6743 25.0496
O 7.6581 -1.3215 5.5038
O 7.5717 -1.3757 20.0498
```

Computed properties:
total energy after the MP2020 corrections: -8.403 eV/atom
energy of formation from the pure elements: -310.87 kJ per mole of atoms
final energy: -8.006 eV per atom


(7)
A relaxed structure of PrInAg2. Source: the Materials Project, functional GGA-PBE.

Cell and atoms, written as extended XYZ:
```
4
Lattice="0.0000 3.5934 3.5934 3.5934 0.0000 3.5934 3.5934 3.5934 0.0000" Properties=species:S:1:pos:R:3 pbc="T T T"
Pr 0.0000 0.0000 0.0000
In 3.5934 3.5934 3.5934
Ag 1.7967 1.7967 1.7967
Ag 5.3901 5.3901 5.3901
```

Computed properties:
energy of formation from the pure elements: -34.91 kJ per mole of atoms
final energy: -3.661 eV per atom


(8)
A relaxed structure of SiO2. Source: the Materials Project, functional GGA-PBE.

Cell and atoms, written as extended XYZ:
```
72
Lattice="-6.8213 6.8213 6.8213 6.8213 -6.8213 6.8213 6.8213 6.8213 -6.8213" Properties=species:S:1:pos:R:3 pbc="T T T"
Si 5.6125 5.1160 -4.6194
Si 4.6194 -1.2087 1.7053
Si 5.1160 -4.6194 5.6125
Si 5.6125 -1.7053 4.6194
Si 11.4406 1.2087 1.7053
Si 1.7053 4.6194 -1.2087
Si 8.5266 2.2019 1.2087
Si 4.6194 5.6125 -1.7053
Si 5.6125 1.7053 2.2019
Si 5.1160 4.6194 1.2087
Si -1.2087 1.7053 4.6194
Si 4.6194 1.2087 5.1160
Si 2.2019 5.6125 1.7053
Si 8.0300 5.1160 2.2019
Si 1.7053 2.2019 5.6125
Si 1.2087 5.1160 4.6194
Si 2.2019 1.2087 8.5266
Si -1.7053 4.6194 5.6125
Si 5.1160 2.2019 8.0300
Si -4.6194 5.6125 5.1160
Si 1.2087 8.5266 2.2019
Si 1.7053 11.4406 1.2087
Si 2.2019 8.0300 5.1160
Si 1.2087 1.7053 11.4406
O 7.2187 5.2255 -4.8659
O 3.0132 -1.4553 1.8149
O 5.3660 -1.8149 3.0132
O 11.6872 -0.3974 1.5958
O 1.8149 3.0132 -1.4553
O 8.4170 1.9553 -0.3974
O 5.3660 5.0064 -3.0132
O 4.8659 0.3974 1.5958
O 5.0064 -3.0132 5.3660
O 5.2255 -4.8659 7.2187
O 9.8345 1.4553 1.8149
O 7.2187 -1.5958 4.8659
O 3.0132 5.3660 -1.8149
O 7.2187 1.5958 1.9553
O 5.2255 4.8659 -0.3974
O 5.0064 3.0132 1.4553
O -1.4553 1.8149 3.0132
O 4.8659 -0.3974 5.2255
O 1.5958 4.8659 0.3974
O 8.6361 3.8080 1.4553
O 4.8659 7.2187 -1.5958
O 5.3660 1.8149 3.8080
O 0.3974 1.5958 4.8659
O 3.0132 1.4553 5.0064
O 3.8080 5.3660 1.8149
O 6.4239 5.2255 1.9553
O 1.4553 5.0064 3.0132
O 1.9553 -0.3974 8.4170
O -1.8149 3.0132 5.3660
O 5.2255 1.9553 6.4239
O 1.9553 7.2187 1.5958
O 8.2766 5.0064 3.8080
O 1.8149 3.8080 5.3660
O 1.5958 1.9553 7.2187
O -0.3974 5.2255 4.8659
O 3.8080 1.4553 8.6361
O -0.3974 8.4170 1.9553
O -3.0132 5.3660 5.0064
O 1.5958 11.6872 -0.3974
O 1.8149 9.8345 1.4553
O 1.9553 6.4239 5.2255
O 1.4553 1.8149 9.8345
O -1.5958 4.8659 7.2187
O 5.0064 3.8080 8.2766
O -4.8659 7.2187 5.2255
O 1.4553 8.6361 3.8080
O 3.8080 8.2766 5.0064
O -0.3974 1.5958 11.6872
```

Computed properties:
total energy after the MP2020 corrections: -8.361 eV/atom
energy of formation from the pure elements: -313.95 kJ per mole of atoms
final energy: -7.903 eV per atom


(9)
A relaxed structure of Ca5Ti2N6. Source: the Materials Project, functional GGA-PBE.

Cell and atoms, written as extended XYZ:
```
26
Lattice="5.1528 -3.2770 0.0000 5.1528 3.2770 0.0000 -3.0330 0.0000 12.5345" Properties=species:S:1:pos:R:3 pbc="T T T"
Ca 2.8781 2.2420 9.4008
Ca 2.7075 0.9679 3.4385
Ca 1.8528 1.6728 12.4425
Ca 3.9034 1.6728 6.3592
Ca 1.1910 -0.9679 9.7058
Ca 6.0817 0.9679 2.8287
Ca 3.3693 -1.6728 6.1753
Ca 5.4199 -1.6728 0.0919
Ca 4.5652 -0.9679 9.0959
Ca 4.3946 -2.2420 3.1336
Ti 1.1036 0.5865 7.1251
Ti 2.6201 -0.5865 0.8578
Ti 4.6526 0.5865 11.6766
Ti 6.1691 -0.5865 5.4094
N 0.9110 0.7636 5.1874
N -0.4811 0.0025 8.0544
N 1.0354 -0.0025 1.7871
N -0.6055 -0.7636 11.4547
N 4.2647 0.0677 1.5516
N 2.7482 -0.0677 7.8188
N 4.5245 0.0677 4.7156
N 3.0080 -0.0677 10.9829
N 7.8782 0.7636 1.0798
N 6.2373 0.0025 10.7473
N 7.7538 -0.0025 4.4801
N 6.3618 -0.7636 7.3470
```

Computed properties:
total energy after the MP2020 corrections: -7.166 eV/atom
energy of formation from the pure elements: -128.51 kJ per mole of atoms
final energy: -6.999 eV per atom


(10)
A relaxed structure of PdPtAu. Source: the Materials Project, functional GGA-PBE.

Cell and atoms, written as extended XYZ:
```
3
Lattice="2.8495 0.0000 0.0000 -1.4248 2.4678 0.0000 0.0000 0.0000 6.9864" Properties=species:S:1:pos:R:3 pbc="T T T"
Pd 0.0000 0.0000 0.0000
Pt 1.4248 0.8226 2.2436
Au 0.0000 1.6452 4.6459
```

Computed properties:
energy of formation from the pure elements: 0.01 kJ per mole of atoms
final energy: -4.841 eV per atom


(11)
A relaxed structure of CrCuS2. Source: the Materials Project, functional GGA-PBE.

Cell and atoms, written as extended XYZ:
```
4
Lattice="1.8698 1.0795 6.2055 -1.8698 1.0795 6.2055 0.0000 -2.1591 6.2055" Properties=species:S:1:pos:R:3 pbc="T T T"
Cr 0.0000 0.0000 0.0000
Cu 0.0000 0.0000 7.9110
S 0.0000 0.0000 5.1398
S 0.0000 0.0000 14.1778
```

Computed properties:
total energy after the MP2020 corrections: -6.058 eV/atom
energy of formation from the pure elements: -53.25 kJ per mole of atoms
final energy: -5.807 eV per atom